(1)
Density functional theory data (r²SCAN) for SmSi2Ru2 after structural relaxation.

POSCAR file:
```
SmSi2Ru2
1.0
3.896 0.000 -1.540
-0.609 3.848 -1.540
-0.010 -0.012 5.671
Sm Si Ru
1 2 2
direct
0.000 0.000 0.000
0.635 0.635 0.270
0.365 0.365 0.730
0.750 0.250 0.500
0.250 0.750 0.500
```

Computed properties:
Symmetry: No. 139
Formation energy: -4.81 eV per formula unit

(2)
Density functional theory data (r²SCAN) for Sm2Si5Ru3 after structural relaxation.

POSCAR file:
```
Sm2Si5Ru3
1.0
-5.733 -5.893 -6.936
3.111 -8.973 5.052
-4.542 0.364 3.444
Sm Si Ru
8 20 12
direct
0.765 0.928 0.500
0.235 0.072 0.500
0.265 0.572 0.000
0.735 0.428 0.000
0.072 0.765 0.500
0.928 0.235 0.500
0.428 0.265 0.000
0.572 0.735 0.000
0.821 0.478 0.500
0.179 0.522 0.500
0.321 0.022 0.000
0.679 0.978 0.000
0.522 0.821 0.500
0.478 0.179 0.500
0.978 0.321 0.000
0.022 0.679 0.000
0.673 0.173 0.250
0.327 0.827 0.250
0.173 0.327 0.750
0.827 0.673 0.750
0.827 0.673 0.250
0.173 0.327 0.250
0.673 0.173 0.750
0.327 0.827 0.750
0.500 0.500 0.272
0.000 0.000 0.772
0.500 0.500 0.728
0.000 0.000 0.228
0.500 0.000 0.250
0.000 0.500 0.750
0.000 0.500 0.250
0.500 0.000 0.750
0.646 0.625 0.500
0.354 0.375 0.500
0.146 0.875 0.000
0.854 0.125 0.000
0.375 0.646 0.500
0.625 0.354 0.500
0.125 0.146 0.000
0.875 0.854 0.000
```

Computed properties:
Symmetry: No. 128
Formation energy: -8.87 eV per formula unit

(3)
Density functional theory data (r²SCAN) for TaSiRu after structural relaxation.

POSCAR file:
```
TaSiRu
1.0
-3.236 3.634 5.570
3.236 -3.634 5.570
3.236 3.634 -5.570
Ta Si Ru
6 6 6
direct
0.946 0.904 0.458
0.054 0.512 0.958
0.531 0.503 0.472
0.469 0.941 0.972
0.749 0.082 0.833
0.251 0.084 0.333
0.721 0.471 0.250
0.279 0.528 0.750
0.670 0.170 0.507
0.330 0.837 0.500
0.163 0.170 0.000
0.837 0.837 0.007
0.500 0.751 0.251
0.000 0.751 0.751
0.909 0.255 0.412
0.091 0.503 0.346
0.343 0.255 0.846
0.657 0.503 0.912
```

Computed properties:
Symmetry: No. 46
Formation energy: -2.01 eV per formula unit

(4)
Density functional theory data (r²SCAN) for TbSiRu after structural relaxation.

POSCAR file:
```
TbSiRu
1.0
-1.721 2.885 2.791
1.964 -4.046 5.395
6.129 3.370 0.296
Tb Si Ru
4 4 4
direct
0.250 0.982 0.186
0.750 0.018 0.814
0.250 0.482 0.314
0.750 0.518 0.686
0.250 0.307 0.893
0.750 0.693 0.107
0.250 0.807 0.607
0.750 0.193 0.393
0.750 0.849 0.432
0.250 0.151 0.568
0.750 0.349 0.068
0.250 0.651 0.932
```

Computed properties:
Symmetry: No. 62
Formation energy: -2.63 eV per formula unit